Record 1
VASP calculation (GGA-PBE) on a relaxed structure of CeGa3Au.

Computed properties:
Uncorrected energy: -4.22 eV/atom
ΔH_f (0 K): -558.3 meV/atom

```
data_CeGa3Au
_chemical_formula_sum 'Ce1 Ga3 Au1'
_symmetry_space_group_name_H-M 'P 1'
_symmetry_Int_Tables_number 1
_cell_length_a 4.390
_cell_length_b 4.390
_cell_length_c 6.133
_cell_angle_alpha 69.03
_cell_angle_beta 69.03
_cell_angle_gamma 90.00
loop_
_symmetry_equiv_pos_as_xyz
'x,y,z'
loop_
_atom_site_label
_atom_site_fract_x
_atom_site_fract_y
_atom_site_fract_z
_atom_site_occupancy
Ga1 0.750 0.250 0.499 1
Ga2 0.386 0.386 0.227 1
Ce1 0.992 0.992 0.016 1
Au1 0.621 0.621 0.757 1
Ga3 0.250 0.750 0.499 1
```

***

Record 2
VASP calculation (GGA-PBE) on a relaxed structure of Na9Mg4Ta2P9O36.

Computed properties:
Energy relative to the lowest polymorph listed for this composition: 0.37 eV per formula unit
Uncorrected energy: -6.91 eV/atom
ΔH_f (0 K): -2840.3 meV/atom

```
data_Na9Mg4Ta2P9O36
_chemical_formula_sum 'Na36 Mg16 Ta8 P36 O144'
_symmetry_space_group_name_H-M 'P 1'
_symmetry_Int_Tables_number 1
_cell_length_a 15.501
_cell_length_b 26.813
_cell_length_c 8.940
_cell_angle_alpha 89.86
_cell_angle_beta 124.94
_cell_angle_gamma 90.11
loop_
_symmetry_equiv_pos_as_xyz
'x,y,z'
loop_
_atom_site_label
_atom_site_fract_x
_atom_site_fract_y
_atom_site_fract_z
_atom_site_occupancy
O1 0.934 0.017 0.573 1
O2 0.852 0.522 0.765 1
O3 0.269 0.937 0.761 1
Mg1 0.096 0.585 0.557 1
O4 0.562 0.187 0.926 1
Na1 0.002 0.800 0.272 1
Na2 0.806 0.020 0.714 1
O5 0.948 0.555 0.439 1
O6 0.842 0.189 0.755 1
O7 0.846 0.811 0.258 1
O8 0.655 0.972 0.233 1
O9 0.155 0.472 0.233 1
O10 0.584 0.880 0.241 1
P1 0.999 0.016 0.243 1
Mg2 0.603 0.420 0.564 1
P2 0.852 0.465 0.750 1
O11 0.741 0.611 0.760 1
Na3 0.494 0.040 0.739 1
O12 0.426 0.116 0.763 1
O13 0.444 0.149 0.090 1
Ta1 0.108 0.252 0.560 1
O14 0.150 0.808 0.229 1
Na4 0.260 0.249 0.028 1
P3 0.352 0.965 0.750 1
O15 0.149 0.142 0.243 1
Na5 0.184 0.689 0.755 1
Mg3 0.897 0.916 0.947 1
P4 0.854 0.535 0.256 1
P5 0.499 0.485 0.743 1
O16 0.342 0.689 0.755 1
O17 0.541 0.617 0.561 1
Na6 0.805 0.356 0.706 1
O18 0.427 0.552 0.258 1
O19 0.465 0.942 0.922 1
O20 0.758 0.227 0.247 1
O21 0.352 0.022 0.765 1
O22 0.543 0.385 0.069 1
O23 0.923 0.953 0.762 1
O24 0.934 0.318 0.066 1
Na7 0.496 0.702 0.757 1
O25 0.258 0.727 0.247 1
Ta2 0.606 0.584 0.058 1
O26 0.926 0.616 0.763 1
P6 0.856 0.868 0.260 1
O27 0.583 0.217 0.241 1
Na8 0.250 0.918 0.004 1
O28 0.078 0.051 0.228 1
O29 0.135 0.215 0.404 1
O30 0.147 0.193 0.735 1
O31 0.078 0.653 0.434 1
O32 0.243 0.553 0.253 1
Mg4 0.398 0.751 0.945 1
O33 0.584 0.453 0.758 1
O34 0.646 0.375 0.416 1
O35 0.138 0.121 0.904 1
Na9 0.695 0.473 0.305 1
P7 0.143 0.202 0.236 1
Na10 0.747 0.082 0.000 1
Mg5 0.397 0.916 0.437 1
O36 0.151 0.542 0.418 1
P8 0.643 0.702 0.236 1
P9 0.999 0.651 0.747 1
O37 0.061 0.311 0.409 1
O38 0.256 0.272 0.730 1
O39 0.944 0.649 0.090 1
O40 0.655 0.357 0.757 1
P10 0.001 0.682 0.255 1
O41 0.251 0.060 0.229 1
O42 0.650 0.308 0.229 1
O43 0.753 0.891 0.236 1
O44 0.929 0.720 0.258 1
Ta3 0.106 0.084 0.058 1
O45 0.084 0.380 0.241 1
P11 0.501 0.182 0.255 1
O46 0.065 0.351 0.918 1
O47 0.435 0.852 0.577 1
P12 0.499 0.516 0.243 1
O48 0.845 0.214 0.077 1
Na11 0.762 0.590 0.530 1
O49 0.930 0.386 0.260 1
O50 0.580 0.785 0.734 1
O51 0.848 0.854 0.766 1
O52 0.043 0.885 0.069 1
Mg6 0.397 0.416 0.947 1
O53 0.146 0.446 0.913 1
O54 0.848 0.450 0.582 1
O55 0.457 0.724 0.422 1
Na12 0.498 0.968 0.267 1
O56 0.646 0.946 0.913 1
O57 0.342 0.646 0.265 1
O58 0.743 0.053 0.253 1
O59 0.442 0.185 0.583 1
O60 0.741 0.276 0.757 1
O61 0.767 0.106 0.762 1
O62 0.769 0.437 0.761 1
O63 0.045 0.781 0.565 1
Na13 0.686 0.137 0.298 1
Mg7 0.396 0.248 0.439 1
P13 0.647 0.032 0.244 1
O64 0.336 0.979 0.259 1
Na14 0.195 0.973 0.305 1
P14 0.354 0.298 0.746 1
O65 0.546 0.051 0.072 1
O66 0.423 0.453 0.762 1
O67 0.083 0.717 0.241 1
O68 0.578 0.153 0.434 1
O69 0.043 0.449 0.567 1
Na15 0.262 0.090 0.530 1
O70 0.430 0.886 0.260 1
O71 0.346 0.311 0.258 1
O72 0.741 0.944 0.753 1
O73 0.572 0.483 0.410 1
Ta4 0.606 0.913 0.059 1
O74 0.635 0.715 0.404 1
Na16 0.998 0.468 0.267 1
O75 0.561 0.811 0.409 1
P15 0.350 0.632 0.748 1
P16 0.999 0.985 0.743 1
P17 0.645 0.368 0.243 1
O76 0.457 0.276 0.927 1
O77 0.241 0.111 0.760 1
P18 0.498 0.818 0.739 1
Ta5 0.608 0.752 0.560 1
O78 0.846 0.118 0.578 1
P19 0.499 0.151 0.747 1
O79 0.154 0.523 0.759 1
O80 0.540 0.717 0.063 1
O81 0.543 0.949 0.567 1
O82 0.240 0.223 0.260 1
O83 0.062 0.687 0.926 1
O84 0.046 0.551 0.072 1
Ta6 0.103 0.749 0.060 1
O85 0.859 0.547 0.096 1
O86 0.842 0.146 0.265 1
O87 0.927 0.052 0.258 1
Mg8 0.897 0.416 0.437 1
P20 0.354 0.035 0.256 1
O88 0.965 0.442 0.922 1
Mg9 0.898 0.251 0.945 1
Na17 0.186 0.637 0.298 1
O89 0.080 0.285 0.734 1
O90 0.241 0.444 0.753 1
O91 0.155 0.857 0.757 1
P21 0.854 0.798 0.746 1
O92 0.345 0.714 0.077 1
O93 0.241 0.776 0.757 1
O94 0.146 0.875 0.416 1
Mg10 0.596 0.085 0.557 1
P22 0.145 0.800 0.739 1
Na18 0.993 0.130 0.250 1
O95 0.935 0.352 0.577 1
O96 0.431 0.486 0.068 1
Na19 0.247 0.582 0.000 1
Mg11 0.399 0.582 0.443 1
O97 0.355 0.386 0.098 1
O98 0.084 0.953 0.758 1
O99 0.448 0.055 0.439 1
O100 0.651 0.042 0.418 1
P23 0.998 0.318 0.739 1
Na20 0.252 0.409 0.522 1
P24 0.996 0.348 0.237 1
O101 0.138 0.780 0.904 1
P25 0.350 0.702 0.248 1
O102 0.448 0.391 0.440 1
Na21 0.496 0.375 0.740 1
O103 0.040 0.217 0.063 1
Na22 0.754 0.251 0.515 1
O104 0.267 0.606 0.762 1
O105 0.041 0.117 0.561 1
P26 0.145 0.868 0.243 1
O106 0.426 0.782 0.754 1
Ta7 0.106 0.413 0.059 1
O107 0.545 0.281 0.565 1
O108 0.588 0.121 0.762 1
O109 0.957 0.224 0.422 1
P27 0.645 0.965 0.739 1
O110 0.565 0.851 0.918 1
Mg12 0.103 0.920 0.564 1
O111 0.359 0.047 0.096 1
Na23 0.752 0.909 0.522 1
O112 0.072 0.983 0.410 1
O113 0.356 0.285 0.585 1
O114 0.751 0.560 0.229 1
Na24 0.324 0.476 0.218 1
O115 0.088 0.621 0.762 1
Mg13 0.897 0.584 0.948 1
O116 0.429 0.220 0.258 1
O117 0.346 0.618 0.578 1
Na25 0.824 0.976 0.218 1
O118 0.756 0.772 0.730 1
P28 0.356 0.368 0.260 1
Na26 0.750 0.418 0.004 1
Mg14 0.899 0.082 0.443 1
O119 0.649 0.642 0.243 1
O120 0.856 0.785 0.585 1
O121 0.962 0.115 0.922 1
Na27 0.493 0.630 0.250 1
Na28 0.306 0.520 0.714 1
Ta8 0.603 0.249 0.060 1
O122 0.855 0.886 0.098 1
O123 0.638 0.280 0.904 1
Na29 0.760 0.749 0.028 1
O124 0.059 0.024 0.914 1
O125 0.740 0.723 0.260 1
O126 0.647 0.693 0.735 1
O127 0.434 0.818 0.066 1
O128 0.348 0.354 0.766 1
O129 0.348 0.950 0.582 1
Na30 0.502 0.300 0.272 1
P29 0.145 0.465 0.739 1
Na31 0.254 0.751 0.515 1
O130 0.836 0.479 0.259 1
P30 0.850 0.132 0.748 1
Na32 0.305 0.856 0.706 1
O131 0.957 0.776 0.927 1
P31 0.850 0.202 0.248 1
P32 0.496 0.848 0.237 1
O132 0.239 0.891 0.256 1
Na33 0.996 0.875 0.740 1
P33 0.144 0.133 0.734 1
O133 0.654 0.023 0.759 1
O134 0.739 0.391 0.256 1
P34 0.645 0.300 0.739 1
O135 0.931 0.986 0.068 1
O136 0.638 0.621 0.904 1
Na34 0.996 0.202 0.757 1
O137 0.942 0.685 0.583 1
O138 0.926 0.282 0.754 1
Na35 0.684 0.189 0.755 1
O139 0.559 0.524 0.914 1
O140 0.462 0.615 0.922 1
Mg15 0.896 0.748 0.439 1
O141 0.578 0.551 0.228 1
Na36 0.994 0.540 0.739 1
O142 0.948 0.891 0.440 1
P35 0.147 0.532 0.244 1
Mg16 0.397 0.084 0.948 1
O143 0.253 0.391 0.236 1
O144 0.434 0.517 0.573 1
P36 0.644 0.633 0.734 1
```

***

Record 3
VASP calculation (GGA-PBE) on a relaxed structure of Mg6AlBi.

Computed properties:
Energy relative to the lowest polymorph listed for this composition: 0.00 eV per formula unit
Uncorrected energy: -2.15 eV/atom
ΔH_f (0 K): 4.4 meV/atom

```
data_Mg6AlBi
_chemical_formula_sum 'Mg12 Al2 Bi2'
_symmetry_space_group_name_H-M 'P 1'
_symmetry_Int_Tables_number 1
_cell_length_a 5.264
_cell_length_b 6.544
_cell_length_c 10.840
_cell_angle_alpha 90.00
_cell_angle_beta 90.00
_cell_angle_gamma 90.00
loop_
_symmetry_equiv_pos_as_xyz
'x,y,z'
loop_
_atom_site_label
_atom_site_fract_x
_atom_site_fract_y
_atom_site_fract_z
_atom_site_occupancy
Mg1 0.500 0.260 0.417 1
Mg2 0.000 0.751 0.584 1
Al1 0.000 0.500 0.332 1
Mg3 0.500 0.740 0.417 1
Mg4 0.000 0.251 0.084 1
Mg5 0.500 0.240 0.917 1
Bi1 0.000 0.000 0.333 1
Mg6 0.500 0.500 0.664 1
Mg7 0.500 0.000 0.669 1
Mg8 0.500 0.000 0.164 1
Mg9 0.000 0.749 0.084 1
Mg10 0.500 0.500 0.169 1
Mg11 0.500 0.760 0.917 1
Al2 0.000 0.000 0.832 1
Bi2 0.000 0.500 0.833 1
Mg12 0.000 0.249 0.584 1
```

***

| no. | mass density (g cm⁻³) |
| --- | --- |
| 1 | 8.90 |
| 2 | 3.32 |
| 3 | 3.40 |